## BaCeEuNbO6 (PBE)

Data for BaCeEuNbO6 after structural relaxation.

Lattice parameters (Å, degrees): 8.607 8.607 8.607 90.00 90.00 90.00
Space group F-43m (No. 216)
Asymmetric unit:
Ba1 0.000 0.000 0.000
Ce1 0.250 0.250 0.750
Eu1 0.000 0.000 0.500
Nb1 0.250 0.250 0.250
O1 0.013 0.250 0.250

magnetic moment = 0.60 μB/atom
electronic total energy = -8.679 eV/atom
offset from the most stable computed form = 38 meV/atom

---

## La2Mn3CuGe4 (PBE)

Data for La2Mn3CuGe4 after structural relaxation.

Lattice parameters (Å, degrees): 4.146 4.146 10.808 90.00 90.00 90.00
Space group P-4m2 (No. 115)
Asymmetric unit:
La1 0.000 0.500 0.249
Mn1 0.000 0.000 0.000
Mn2 0.000 0.000 0.500
Mn3 0.500 0.500 0.500
Cu1 0.500 0.500 0.000
Ge1 0.000 0.500 0.624
Ge2 0.000 0.500 0.872

magnetic moment = 0.78 μB/atom
electronic total energy = -6.467 eV/atom

---

## LiNbP4O12 (PBE)

Data for LiNbP4O12 after structural relaxation.

Lattice parameters (Å, degrees): 12.147 8.471 10.225 90.00 119.30 90.00
Space group C2/c (No. 15)
Asymmetric unit:
Li1 0.250 0.250 0.000
Nb1 0.000 0.057 0.750
P1 0.009 0.267 0.477
P2 0.197 0.492 0.699
O1 0.034 0.128 0.406
O2 0.045 0.236 0.918
O3 0.080 0.386 0.152
O4 0.138 0.363 0.563
O5 0.204 0.077 0.824
O6 0.229 0.422 0.844

magnetic moment = 0.11 μB/atom
electronic total energy = -7.305 eV/atom
offset from the most stable computed form = 9 meV/atom